Record 1
BaSrYVO6: relaxed, GGA+U.

abc: 5.8614 5.8614 5.8614
angles: 60.00 60.00 60.00
With the nearest neighbours (Å) after each atom.
Positions (direct):
1 Ba 0.0000 0.0000 0.0000  12 O 2.94
2 Sr 0.5000 0.5000 0.5000  12 O 2.94
3 Y 0.2500 0.2500 0.2500  6 O 2.23
4 V 0.7500 0.7500 0.7500  6 O 1.91
5 O 0.5193 0.5193 0.9807  1 V 1.91
6 O 0.5193 0.9807 0.5193  1 V 1.91
7 O 0.5193 0.9807 0.9807  1 V 1.91
8 O 0.9807 0.5193 0.5193  1 V 1.91
9 O 0.9807 0.5193 0.9807  1 V 1.91
10 O 0.9807 0.9807 0.5193  1 V 1.91

Computed properties:
The value obtained for the formation energy is -3.15 eV/atom. As for the total magnetization: 0.00 μB/f.u. Its volume is 142 Å³/f.u. The total energy is -74.53 eV for the cell shown.


Record 2
Li9MnSi2O10: relaxed, GGA+U.

abc: 5.3604 5.9201 15.3089
angles: 96.24 98.10 91.97
With the nearest neighbours (Å) after each atom.
Positions (direct):
1 Li 0.0000 0.0000 0.0000  4 O 1.89-2.06
2 Li 0.0062 0.4837 0.9988  3 O 1.87-2.04
3 Li 0.0234 0.2906 0.1534  3 O 1.91-2.04
4 Li 0.1491 0.6762 0.3363  3 O 1.80-1.93
5 Li 0.1673 0.0919 0.3368  3 O 1.80-1.99
6 Li 0.2022 0.3717 0.8712  3 O 1.88-1.90
7 Li 0.2396 0.9425 0.8741  3 O 1.85-2.01
8 Li 0.3491 0.7651 0.0777  4 O 2.02-2.19
9 Li 0.4188 0.4201 0.7422  4 O 1.96-2.17
10 Li 0.4265 0.5521 0.2224  3 O 1.85-2.06
11 Li 0.4405 0.0820 0.2171  3 O 1.84-2.00
12 Li 0.4492 0.5226 0.5950  4 O 1.98-2.13
13 Li 0.6356 0.7194 0.9690  3 O 2.01-2.25
14 Li 0.6766 0.8575 0.3314  4 O 1.92-2.09
15 Li 0.6938 0.1833 0.8746  3 O 1.90-1.96
16 Li 0.8559 0.1899 0.4360  4 O 1.89-2.03
17 Li 0.9268 0.5438 0.6313  3 O 2.01-2.23
18 Li 0.9664 0.6359 0.4798  3 O 1.95-1.96
19 Mn 0.2253 0.0406 0.5196  4 O 1.88-2.10
20 Mn 0.2858 0.9516 0.7014  4 O 1.83-2.05
21 Si 0.4866 0.3961 0.4218  4 O 1.61-1.70
22 Si 0.5034 0.2560 0.0403  4 O 1.62-1.69
23 Si 0.8712 0.6770 0.8001  4 O 1.63-1.72
24 Si 0.9102 0.7935 0.1724  4 O 1.65-1.66
25 O 0.0159 0.8996 0.4166  1 Mn 1.90, 5 Li 1.93-2.07
26 O 0.0451 0.5835 0.2203  1 Si 1.65, 1 Li 1.80
27 O 0.0708 0.0299 0.2189  1 Si 1.65, 1 Li 1.80
28 O 0.1580 0.6878 0.7620  1 Si 1.72
29 O 0.1975 0.7778 0.5830  2 Mn 1.93-1.97, 2 Li 1.96-2.07
30 O 0.2057 0.3374 0.4557  1 Si 1.70
31 O 0.3083 0.2114 0.6315  2 Mn 1.88-1.98, 1 Li 1.99
32 O 0.3585 0.1525 0.8026  1 Mn 1.83, 4 Li 1.88-1.96
33 O 0.3744 0.0015 0.9931  1 Si 1.68, 1 Li 1.85
34 O 0.3790 0.4685 0.9855  1 Si 1.69, 1 Li 1.89
35 O 0.4305 0.2998 0.1397  1 Si 1.62
36 O 0.4836 0.6090 0.3647  1 Si 1.61
37 O 0.5391 0.1561 0.3633  1 Si 1.65
38 O 0.6141 0.8099 0.1924  1 Si 1.66
39 O 0.6645 0.6385 0.7079  1 Si 1.66
40 O 0.7041 0.4366 0.5114  1 Si 1.66
41 O 0.8069 0.2503 0.0314  1 Si 1.65
42 O 0.8622 0.9069 0.8678  1 Si 1.63
43 O 0.8639 0.4628 0.8590  1 Si 1.64
44 O 0.9366 0.7570 0.0651  1 Si 1.66

Computed properties:
The value obtained for the formation energy is -2.50 eV/atom. As for the total magnetization: 4.00 μB/f.u. Its volume is 239 Å³/f.u. The total energy is -266.06 eV for the cell shown.


Record 3
K2V2P4O15: relaxed, GGA+U.

abc: 9.6606 22.4073 11.6715
angles: 90.00 90.00 90.00
With the nearest neighbours (Å) after each atom.
Positions (direct):
1 K 0.0364 0.1350 0.1998  6 O 2.71-3.01
2 K 0.0364 0.3650 0.6998  6 O 2.71-3.01
3 K 0.0659 0.5617 0.6540  8 O 2.77-3.07
4 K 0.0659 0.9383 0.1540  8 O 2.77-3.07
5 K 0.4341 0.0617 0.6540  8 O 2.77-3.07
6 K 0.4341 0.4383 0.1540  8 O 2.77-3.07
7 K 0.4636 0.6350 0.1998  6 O 2.71-3.01
8 K 0.4636 0.8650 0.6998  6 O 2.71-3.01
9 K 0.5364 0.1350 0.3002  6 O 2.71-3.01
10 K 0.5364 0.3650 0.8002  6 O 2.71-3.01
11 K 0.5659 0.5617 0.8460  8 O 2.77-3.07
12 K 0.5659 0.9383 0.3460  8 O 2.77-3.07
13 K 0.9341 0.0617 0.8460  8 O 2.77-3.07
14 K 0.9341 0.4383 0.3460  8 O 2.77-3.07
15 K 0.9636 0.6350 0.3002  6 O 2.71-3.01
16 K 0.9636 0.8650 0.8002  6 O 2.71-3.01
17 V 0.0167 0.2249 0.9320  1 O 1.62
18 V 0.0167 0.2751 0.4320  1 O 1.62
19 V 0.2421 0.0304 0.3805  1 O 1.63
20 V 0.2421 0.4696 0.8805  1 O 1.63
21 V 0.2579 0.5304 0.3805  1 O 1.63
22 V 0.2579 0.9696 0.8805  1 O 1.63
23 V 0.4833 0.7249 0.9320  1 O 1.62
24 V 0.4833 0.7751 0.4320  1 O 1.62
25 V 0.5167 0.2249 0.5680  1 O 1.62
26 V 0.5167 0.2751 0.0680  1 O 1.62
27 V 0.7421 0.0304 0.1195  1 O 1.63
28 V 0.7421 0.4696 0.6195  1 O 1.63
29 V 0.7579 0.5304 0.1195  1 O 1.63
30 V 0.7579 0.9696 0.6195  1 O 1.63
31 V 0.9833 0.7249 0.5680  1 O 1.62
32 V 0.9833 0.7751 0.0680  1 O 1.62
33 P 0.0194 0.1917 0.6511  4 O 1.51-1.60
34 P 0.0194 0.3083 0.1511  4 O 1.51-1.60
35 P 0.1252 0.5299 0.1195  4 O 1.51-1.65
36 P 0.1252 0.9701 0.6195  4 O 1.51-1.65
37 P 0.2195 0.6130 0.9402  4 O 1.50-1.60
38 P 0.2195 0.8870 0.4402  4 O 1.50-1.60
39 P 0.2298 0.1679 0.4730  4 O 1.52-1.65
40 P 0.2298 0.3321 0.9730  4 O 1.52-1.65
41 P 0.2702 0.6679 0.4730  4 O 1.52-1.65
42 P 0.2702 0.8321 0.9730  4 O 1.52-1.65
43 P 0.2805 0.1130 0.9402  4 O 1.50-1.60
44 P 0.2805 0.3870 0.4402  4 O 1.50-1.60
45 P 0.3748 0.0299 0.1195  4 O 1.51-1.65
46 P 0.3748 0.4701 0.6195  4 O 1.51-1.65
47 P 0.4806 0.6917 0.6511  4 O 1.51-1.60
48 P 0.4806 0.8083 0.1511  4 O 1.51-1.60
49 P 0.5194 0.1917 0.8489  4 O 1.51-1.60
50 P 0.5194 0.3083 0.3489  4 O 1.51-1.60
51 P 0.6252 0.5299 0.3805  4 O 1.51-1.65
52 P 0.6252 0.9701 0.8805  4 O 1.51-1.65
53 P 0.7195 0.6130 0.5598  4 O 1.50-1.60
54 P 0.7195 0.8870 0.0598  4 O 1.50-1.60
55 P 0.7298 0.1679 0.0270  4 O 1.52-1.65
56 P 0.7298 0.3321 0.5270  4 O 1.52-1.65
57 P 0.7702 0.6679 0.0270  4 O 1.52-1.65
58 P 0.7702 0.8321 0.5270  4 O 1.52-1.65
59 P 0.7805 0.1130 0.5598  4 O 1.50-1.60
60 P 0.7805 0.3870 0.0598  4 O 1.50-1.60
61 P 0.8748 0.0299 0.3805  4 O 1.51-1.65
62 P 0.8748 0.4701 0.8805  4 O 1.51-1.65
63 P 0.9806 0.6917 0.8489  4 O 1.51-1.60
64 P 0.9806 0.8083 0.3489  4 O 1.51-1.60
65 O 0.0142 0.2454 0.1039  1 P 1.51
66 O 0.0142 0.2546 0.6039  1 P 1.51
67 O 0.0177 0.0239 0.3289  1 P 1.51
68 O 0.0177 0.4761 0.8289  1 P 1.51
69 O 0.0519 0.1839 0.7764  1 P 1.51
70 O 0.0519 0.3161 0.2764  1 P 1.51
71 O 0.0837 0.7235 0.1177  1 V 1.62
72 O 0.0837 0.7765 0.6177  1 V 1.62
73 O 0.0945 0.5361 0.4144  1 V 1.63
74 O 0.0945 0.9639 0.9144  1 V 1.63
75 O 0.1205 0.5919 0.0423  2 P 1.60-1.65
76 O 0.1205 0.9081 0.5423  2 P 1.60-1.65
77 O 0.1253 0.1521 0.5802  2 P 1.59-1.65
78 O 0.1253 0.3479 0.0802  2 P 1.59-1.65
79 O 0.1257 0.6591 0.8696  2 P 1.60
80 O 0.1256 0.6623 0.5254  1 P 1.53
81 O 0.1256 0.8377 0.0254  1 P 1.53
82 O 0.1257 0.8409 0.3696  2 P 1.60
83 O 0.1551 0.1447 0.9842  1 P 1.50
84 O 0.1551 0.3553 0.4842  1 P 1.50
85 O 0.1674 0.0208 0.5387  1 P 1.53
86 O 0.1674 0.4792 0.0387  1 P 1.53
87 O 0.1950 0.2294 0.4264  1 P 1.52
88 O 0.1950 0.2706 0.9264  1 P 1.52
89 O 0.2025 0.1189 0.3844  1 P 1.53
90 O 0.2025 0.3811 0.8844  1 P 1.53
91 O 0.2397 0.5414 0.2086  1 P 1.54
92 O 0.2397 0.9586 0.7086  1 P 1.54
93 O 0.2438 0.5608 0.8580  1 P 1.53
94 O 0.2438 0.9392 0.3580  1 P 1.53
95 O 0.2562 0.0608 0.8580  1 P 1.53
96 O 0.2562 0.4392 0.3580  1 P 1.53
97 O 0.2603 0.0414 0.2086  1 P 1.54
98 O 0.2603 0.4586 0.7086  1 P 1.54
99 O 0.2975 0.6189 0.3844  1 P 1.53
100 O 0.2975 0.8811 0.8844  1 P 1.53
101 O 0.3050 0.7294 0.4264  1 P 1.52
102 O 0.3050 0.7706 0.9264  1 P 1.52
103 O 0.3326 0.5208 0.5387  1 P 1.53
104 O 0.3326 0.9792 0.0387  1 P 1.53
105 O 0.3449 0.6447 0.9842  1 P 1.50
106 O 0.3449 0.8553 0.4842  1 P 1.50
107 O 0.3743 0.1591 0.8696  2 P 1.60
108 O 0.3744 0.1623 0.5254  1 P 1.53
109 O 0.3744 0.3377 0.0254  1 P 1.53
110 O 0.3743 0.3409 0.3696  2 P 1.60
111 O 0.3747 0.6521 0.5802  2 P 1.59-1.65
112 O 0.3747 0.8479 0.0802  2 P 1.59-1.65
113 O 0.3795 0.0919 0.0423  2 P 1.60-1.65
114 O 0.3795 0.4081 0.5423  2 P 1.60-1.65
115 O 0.4055 0.0361 0.4144  1 V 1.63
116 O 0.4055 0.4639 0.9144  1 V 1.63
117 O 0.4163 0.2235 0.1177  1 V 1.62
118 O 0.4163 0.2765 0.6177  1 V 1.62
119 O 0.4481 0.6839 0.7764  1 P 1.51
120 O 0.4481 0.8161 0.2764  1 P 1.51
121 O 0.4823 0.5239 0.3289  1 P 1.51
122 O 0.4823 0.9761 0.8289  1 P 1.51
123 O 0.4858 0.7454 0.1039  1 P 1.51
124 O 0.4858 0.7546 0.6039  1 P 1.51
125 O 0.5142 0.2454 0.3961  1 P 1.51
126 O 0.5142 0.2546 0.8961  1 P 1.51
127 O 0.5177 0.0239 0.1711  1 P 1.51
128 O 0.5177 0.4761 0.6711  1 P 1.51
129 O 0.5519 0.1839 0.7236  1 P 1.51
130 O 0.5519 0.3161 0.2236  1 P 1.51
131 O 0.5837 0.7235 0.3823  1 V 1.62
132 O 0.5837 0.7765 0.8823  1 V 1.62
133 O 0.5945 0.5361 0.0856  1 V 1.63
134 O 0.5945 0.9639 0.5856  1 V 1.63
135 O 0.6205 0.5919 0.4577  2 P 1.60-1.65
136 O 0.6205 0.9081 0.9577  2 P 1.60-1.65
137 O 0.6253 0.1521 0.9198  2 P 1.59-1.65
138 O 0.6253 0.3479 0.4198  2 P 1.59-1.65
139 O 0.6257 0.6591 0.6304  2 P 1.60
140 O 0.6256 0.6623 0.9746  1 P 1.53
141 O 0.6256 0.8377 0.4746  1 P 1.53
142 O 0.6257 0.8409 0.1304  2 P 1.60
143 O 0.6551 0.1447 0.5158  1 P 1.50
144 O 0.6551 0.3553 0.0158  1 P 1.50
145 O 0.6674 0.0208 0.9613  1 P 1.53
146 O 0.6674 0.4792 0.4613  1 P 1.53
147 O 0.6950 0.2294 0.0736  1 P 1.52
148 O 0.6950 0.2706 0.5736  1 P 1.52
149 O 0.7025 0.1189 0.1156  1 P 1.53
150 O 0.7025 0.3811 0.6156  1 P 1.53
151 O 0.7397 0.5414 0.2914  1 P 1.54
152 O 0.7397 0.9586 0.7914  1 P 1.54
153 O 0.7438 0.5608 0.6420  1 P 1.53
154 O 0.7438 0.9392 0.1420  1 P 1.53
155 O 0.7562 0.0608 0.6420  1 P 1.53
156 O 0.7562 0.4392 0.1420  1 P 1.53
157 O 0.7603 0.0414 0.2914  1 P 1.54
158 O 0.7603 0.4586 0.7914  1 P 1.54
159 O 0.7975 0.6189 0.1156  1 P 1.53
160 O 0.7975 0.8811 0.6156  1 P 1.53
161 O 0.8050 0.7294 0.0736  1 P 1.52
162 O 0.8050 0.7706 0.5736  1 P 1.52
163 O 0.8326 0.5208 0.9613  1 P 1.53
164 O 0.8326 0.9792 0.4613  1 P 1.53
165 O 0.8449 0.6447 0.5158  1 P 1.50
166 O 0.8449 0.8553 0.0158  1 P 1.50
167 O 0.8743 0.1591 0.6304  2 P 1.60
168 O 0.8744 0.1623 0.9746  1 P 1.53
169 O 0.8744 0.3377 0.4746  1 P 1.53
170 O 0.8743 0.3409 0.1304  2 P 1.60
171 O 0.8747 0.6521 0.9198  2 P 1.59-1.65
172 O 0.8747 0.8479 0.4198  2 P 1.59-1.65
173 O 0.8795 0.0919 0.4577  2 P 1.60-1.65
174 O 0.8795 0.4081 0.9577  2 P 1.60-1.65
175 O 0.9055 0.0361 0.0856  1 V 1.63
176 O 0.9055 0.4639 0.5856  1 V 1.63
177 O 0.9163 0.2235 0.3823  1 V 1.62
178 O 0.9163 0.2765 0.8823  1 V 1.62
179 O 0.9481 0.6839 0.7236  1 P 1.51
180 O 0.9481 0.8161 0.2236  1 P 1.51
181 O 0.9823 0.5239 0.1711  1 P 1.51
182 O 0.9823 0.9761 0.6711  1 P 1.51
183 O 0.9858 0.7454 0.3961  1 P 1.51
184 O 0.9858 0.7546 0.8961  1 P 1.51

Computed properties:
The value obtained for the formation energy is -2.63 eV/atom. As for the total magnetization: 0.21 μB/f.u. Its volume is 316 Å³/f.u. The total energy is -1305.14 eV for the cell shown.


Record 4
LiCoPO4: relaxed, GGA+U.

abc: 5.1745 7.8994 8.7578
angles: 87.64 87.22 77.88
With the nearest neighbours (Å) after each atom.
Positions (direct):
1 Li 0.1344 0.4691 0.1546  3 O 1.95-1.99
2 Li 0.1799 0.9363 0.2674  4 O 2.02-2.14
3 Li 0.8201 0.0637 0.7326  4 O 2.02-2.14
4 Li 0.8656 0.5309 0.8454  3 O 1.95-1.99
5 Co 0.2360 0.6915 0.5910  4 O 1.95-2.02
6 Co 0.3099 0.1797 0.9428  4 O 1.98-2.05
7 Co 0.6901 0.8203 0.0572  4 O 1.98-2.05
8 Co 0.7640 0.3085 0.4091  4 O 1.95-2.02
9 P 0.2403 0.2926 0.6096  4 O 1.54-1.57
10 P 0.2424 0.7852 0.9245  4 O 1.55-1.58
11 P 0.7576 0.2148 0.0755  4 O 1.55-1.58
12 P 0.7597 0.7074 0.3904  4 O 1.54-1.57
13 O 0.0114 0.7829 0.4134  1 P 1.57
14 O 0.0606 0.6773 0.0144  1 P 1.56
15 O 0.1204 0.8476 0.7689  1 P 1.55
16 O 0.1480 0.4746 0.6824  1 P 1.57
17 O 0.2646 0.9412 0.0259  1 P 1.58
18 O 0.3912 0.3079 0.4557  1 P 1.54
19 O 0.4216 0.1711 0.7238  1 P 1.56
20 O 0.4693 0.3192 0.0921  1 P 1.55
21 O 0.5307 0.6808 0.9079  1 P 1.55
22 O 0.5784 0.8289 0.2762  1 P 1.56
23 O 0.6088 0.6921 0.5443  1 P 1.54
24 O 0.7354 0.0588 0.9741  1 P 1.58
25 O 0.8520 0.5254 0.3176  1 P 1.57
26 O 0.8796 0.1524 0.2311  1 P 1.55
27 O 0.9394 0.3227 0.9856  1 P 1.56
28 O 0.9886 0.2171 0.5866  1 P 1.57

Computed properties:
The value obtained for the formation energy is -2.37 eV/atom. Its offset from the most stable computed form is 0.041 eV per atom. As for the total magnetization: 0.00 μB/f.u. Its volume is 87 Å³/f.u. The total energy is -185.63 eV for the cell shown.


Which of these has the lowest formation energy? BaSrYVO6


Which value of formation energy does entry 1 give? -3.15 eV/atom


formation energy of number 1 (BaSrYVO6)? -3.15 eV/atom


Look up the formation energy of the third one. -2.63 eV/atom